(1)
# NaSnAsCO7 (PBE-GGA, relaxed)
data_NaSnAsCO7
_chemical_formula_sum 'Na2 Sn2 As2 C2 O14'
_space_group_name_H-M_alt 'P 1 21 1'
_space_group_IT_number 4
_cell_length_a 5.438
_cell_length_b 6.837
_cell_length_c 9.531
_cell_angle_alpha 90.00
_cell_angle_beta 92.89
_cell_angle_gamma 90.00
loop_
_space_group_symop_operation_xyz
'x,y,z'
'-x,y+1/2,-z'
loop_
_atom_site_label
_atom_site_type_symbol
_atom_site_fract_x
_atom_site_fract_y
_atom_site_fract_z
Na1 Na 0.225 0.000 0.312
Sn1 Sn 0.212 0.239 0.840
As1 As 0.276 0.745 0.933
C1 C 0.279 0.258 0.578
O1 O 0.057 0.255 0.633
O2 O 0.146 0.757 0.093
O3 O 0.178 0.548 0.835
O4 O 0.201 0.938 0.825
O5 O 0.315 0.250 0.452
O6 O 0.407 0.229 0.032
O7 O 0.462 0.268 0.680
# Formation energy in eV per atom: -1.89



(2)
# Na2SnAsCO7 (PBE-GGA, relaxed)
data_Na2SnAsCO7
_chemical_formula_sum 'Na4 Sn2 As2 C2 O14'
_space_group_name_H-M_alt 'P 1 21/m 1'
_space_group_IT_number 11
_cell_length_a 5.419
_cell_length_b 7.121
_cell_length_c 9.289
_cell_angle_alpha 90.00
_cell_angle_beta 90.78
_cell_angle_gamma 90.00
loop_
_space_group_symop_operation_xyz
'x,y,z'
'-x,-y,-z'
'-x,y+1/2,-z'
'x,-y+1/2,z'
loop_
_atom_site_label
_atom_site_type_symbol
_atom_site_fract_x
_atom_site_fract_y
_atom_site_fract_z
Na1 Na 0.232 0.000 0.213
Sn1 Sn 0.217 0.250 0.643
As1 As 0.290 0.750 0.586
C1 C 0.272 0.250 0.932
O1 O 0.055 0.250 0.865
O2 O 0.178 0.554 0.674
O3 O 0.191 0.750 0.407
O4 O 0.293 0.250 0.068
O5 O 0.389 0.250 0.415
O6 O 0.466 0.250 0.846
# Formation energy in eV per atom: -1.91



(3)
# Na3SnAsCO7 (PBE-GGA, relaxed)
data_Na3SnAsCO7
_chemical_formula_sum 'Na6 Sn2 As2 C2 O14'
_space_group_name_H-M_alt 'P 1 21/m 1'
_space_group_IT_number 11
_cell_length_a 5.347
_cell_length_b 7.453
_cell_length_c 9.598
_cell_angle_alpha 90.00
_cell_angle_beta 91.41
_cell_angle_gamma 90.00
loop_
_space_group_symop_operation_xyz
'x,y,z'
'-x,-y,-z'
'-x,y+1/2,-z'
'x,-y+1/2,z'
loop_
_atom_site_label
_atom_site_type_symbol
_atom_site_fract_x
_atom_site_fract_y
_atom_site_fract_z
Na1 Na 0.232 0.250 0.421
Na2 Na 0.245 0.508 0.751
Sn1 Sn 0.233 0.750 0.143
As1 As 0.291 0.250 0.101
C1 C 0.270 0.750 0.451
O1 O 0.054 0.750 0.382
O2 O 0.187 0.068 0.195
O3 O 0.195 0.250 0.925
O4 O 0.275 0.750 0.585
O5 O 0.387 0.750 0.895
O6 O 0.478 0.750 0.382
# Formation energy in eV per atom: -1.94